The following is a DFT calculation (PBE) of crystalline MgCo4Ni2S8 at its relaxed geometry. Values from VASP.

Summary:
Crystal system: orthorhombic
ΔE_f, meV per atom: -405.8
Polymorph energy (0 for the lowest one), meV per atom: 306
Corrected total energy (MP2020 scheme), eV per atom: -5.385
Magnetization, μB/f.u.: 1.938

```
&SYSTEM
  ibrav = 0, nat = 15, ntyp = 4
/
ATOMIC_SPECIES
Co 58.93 Co.upf
S 32.06 S.upf
Ni 58.69 Ni.upf
Mg 24.30 Mg.upf
CELL_PARAMETERS angstrom
6.053 0.000 3.485
2.015 5.699 3.490
-0.008 0.000 6.984
ATOMIC_POSITIONS angstrom
Co 1.259 2.758 5.239
Co 3.907 2.758 3.710
Co 3.893 2.744 6.743
Co 3.026 0.292 5.242
S 6.077 4.290 6.934
S 5.037 1.385 8.724
S 2.967 4.290 8.730
S 2.076 1.477 6.859
S 3.020 4.118 5.230
S 4.902 1.477 5.227
S 6.063 4.288 10.501
S 2.087 1.482 3.615
Ni 1.007 0.713 1.744
Ni 7.050 4.989 12.210
Mg 5.029 3.572 8.711
```